# 1
VASP calculation (PBE-GGA) on an optimized crystal structure of DyAgGe.

Unit cell a=7.1688 b=7.1688 c=4.2286 alpha=90.00 beta=90.00 gamma=120.00
Space group P-62m (No. 189)
Inequivalent atoms, fractional coordinates:
1 Dy 0.0000 0.4168 0.0000 (multiplicity 3)
2 Ag 0.0000 0.7501 0.5000 (multiplicity 3)
3 Ge 0.0000 0.0000 0.0000 (multiplicity 1)
4 Ge 0.3333 0.6667 0.5000 (multiplicity 2)

# 2
VASP calculation (PBE-GGA) on an optimized crystal structure of Sm2MgIr.

Unit cell a=7.246 b=7.246 c=7.246 alpha=90.00 beta=90.00 gamma=90.00
Space group Fm-3m (No. 225)
Inequivalent atoms, fractional coordinates:
1 Sm 0.250 0.250 0.250 (multiplicity 8)
2 Mg 0.000 0.000 0.000 (multiplicity 4)
3 Ir 0.000 0.000 0.500 (multiplicity 4)

Properties
- M_tot: 0.00 μB/atom

| no. | energy of formation from the pure elements (kJ/mol of formula units) |
| --- | --- |
| 1 | -190 |
| 2 | -139 |